#i
16
Lattice="1.792 0.140 2.360 4.074 0.259 -3.109 -1.926 9.687 0.898" Properties=species:S:1:pos:R:3 comment="Li2VCrO4, optimized geometry, DFT PBE with a Hubbard U" magnetic_moment_mub_per_fu=0.0 pbc="T T T"
Li 2.933 0.200 -0.375
Li -0.067 4.913 1.629
Li 0.000 0.000 0.000
Li 1.074 4.973 -1.106
V -0.426 7.330 -0.104
V 2.574 2.616 -2.108
Cr 1.433 2.556 0.627
Cr 2.507 7.529 -0.479
O 1.602 3.704 2.294
O 2.676 8.676 1.189
O 1.263 1.408 -1.040
O 2.338 6.382 -2.146
O 4.224 1.616 -1.437
O 1.224 6.329 0.567
O 2.716 3.756 -0.419
O -0.285 8.470 1.585

#ii
8
Lattice="2.305 1.634 -0.908 -1.065 1.508 -4.836 -2.627 4.293 1.062" Properties=species:S:1:pos:R:3 comment="Li2VCrO4, optimized geometry, DFT PBE with a Hubbard U" magnetic_moment_mub_per_fu=1.0 pbc="T T T"
Li -1.241 4.502 -4.742
Li -0.307 5.897 0.137
V 0.539 3.053 -2.834
Cr -1.927 4.383 -1.849
O -1.461 2.956 -3.237
O 0.235 1.516 -1.522
O -1.607 5.890 -3.174
O 0.059 4.509 -1.431

Most stable to least stable, the ends of the list are #ii and #i.

#i
19
Lattice="-6.073 5.911 3.056 -0.573 5.424 -3.183 -5.299 0.721 -2.951" Properties=species:S:1:pos:R:3 comment="CaFe6O4F8, optimized geometry, DFT PBE with a Hubbard U" magnetic_moment_mub_per_fu=26.0 pbc="T T T"
Ca -3.280 5.917 -3.867
Fe -8.661 8.246 -1.170
Fe -5.627 5.964 -0.041
Fe -6.295 6.534 -3.249
Fe -3.484 3.370 -1.621
Fe -3.932 8.547 -1.529
Fe -6.553 11.030 -0.152
O -4.055 2.283 -0.069
O -9.501 8.076 -2.816
O -9.588 7.607 0.391
O -2.337 3.941 -3.201
F -7.233 4.762 -0.195
F -7.670 5.010 -3.149
F -7.179 7.212 -4.992
F -6.731 6.815 1.553
F -6.937 7.310 -1.402
F -5.260 4.987 -4.424
F -4.704 4.891 -1.748
F -4.807 4.682 1.528

#ii
19
Lattice="-4.934 4.933 3.398 -0.079 4.826 -3.356 -4.835 0.073 -3.365" Properties=species:S:1:pos:R:3 comment="CaFe6O4F8, optimized geometry, DFT PBE with a Hubbard U" magnetic_moment_mub_per_fu=0.0 pbc="T T T"
Ca -6.250 3.697 -1.677
Fe -7.407 7.309 -1.420
Fe -4.658 5.037 0.527
Fe -4.753 5.227 -4.064
Fe -2.521 2.453 -1.889
Fe -3.469 6.330 -1.632
Fe -5.082 9.711 -0.023
O -3.429 1.767 -0.258
O -7.996 6.331 -3.025
O -3.436 1.492 -3.341
O -1.604 3.392 -3.353
F -6.022 3.537 0.536
F -6.208 3.855 -3.879
F -6.100 6.275 -5.266
F -5.914 6.055 1.776
F -5.691 5.905 -1.233
F -3.799 3.849 -5.206
F -3.930 4.091 -1.719
F -3.662 3.782 1.870

Most stable to least stable, the ends of the list are #i and #ii.

#i
7
Lattice="-8.197 -1.351 1.872 -6.938 -4.571 1.868 -6.621 -2.594 4.686" Properties=species:S:1:pos:R:3 comment="InFe2O4, optimized geometry, DFT PBE with a Hubbard U" magnetic_moment_mub_per_fu=9.0 pbc="T T T"
In -0.047 -0.019 0.018
Fe -17.126 -6.704 6.633
Fe -4.595 -1.799 1.780
O -15.394 -6.026 5.962
O -6.322 -2.475 2.448
O -18.953 -7.420 7.341
O -2.833 -1.109 1.097

#ii
7
Lattice="8.748 -1.701 0.000 8.748 1.701 0.000 8.417 0.000 2.928" Properties=species:S:1:pos:R:3 comment="InFe2O4, optimized geometry, DFT PBE with a Hubbard U" magnetic_moment_mub_per_fu=9.0 pbc="T T T"
In 0.000 0.000 0.000
Fe 20.343 0.000 2.299
Fe 5.569 0.000 0.629
O 18.341 0.000 2.073
O 7.571 0.000 0.855
O 22.559 0.000 2.549
O 3.353 0.000 0.379

Most stable to least stable, the ends of the list are #ii and #i.

#i
24
Lattice="3.668 -2.062 1.862 -2.577 -0.134 4.864 -3.239 -9.073 -3.406" Properties=species:S:1:pos:R:3 comment="LiCo3O2F6, optimized geometry, DFT PBE with a Hubbard U" magnetic_moment_mub_per_fu=0.0 pbc="T T T"
Li -3.239 -9.073 -3.406
Li -2.363 -5.702 4.092
Co -2.908 -4.604 0.729
Co 0.871 -4.327 4.517
Co -3.019 -6.942 -1.197
Co 0.545 -1.098 3.363
Co 0.201 -3.325 1.324
Co -2.349 -7.944 1.995
O 0.627 -3.068 3.263
O -1.588 -3.461 1.510
O -0.560 -7.808 1.810
O -2.775 -8.201 0.057
F -1.370 -1.174 3.600
F 0.448 -5.289 1.187
F -2.596 -5.980 2.133
F -0.778 -10.095 -0.281
F 0.282 -1.329 1.422
F -0.441 -5.628 3.802
F -1.707 -5.641 -0.483
F -2.430 -9.940 1.897
F 2.178 -3.262 0.967
F -2.501 -3.541 4.140
F 0.353 -7.728 -0.820
F -4.326 -8.007 2.353

#ii
24
Lattice="-1.272 4.503 -1.972 -6.531 -2.358 -1.345 -3.520 1.842 6.335" Properties=species:S:1:pos:R:3 comment="LiCo3O2F6, optimized geometry, DFT PBE with a Hubbard U" magnetic_moment_mub_per_fu=10.9 pbc="T T T"
Li -1.950 0.937 0.281
Li -9.373 3.050 2.735
Co -5.324 0.057 -0.283
Co -7.549 2.062 -0.545
Co -7.204 0.796 2.900
Co -4.119 3.191 0.117
Co -3.774 1.925 3.562
Co -5.999 3.930 3.300
O -5.567 1.858 -0.050
O -8.613 -0.396 2.855
O -2.709 4.383 0.162
O -5.756 2.128 3.067
F -7.244 0.092 -0.871
F -6.772 2.590 -2.373
F -6.102 -0.406 1.628
F -3.546 -0.292 0.466
F -3.017 2.013 -1.115
F -7.958 1.856 1.389
F -3.365 2.131 1.627
F -8.306 1.974 4.131
F -7.777 4.279 2.551
F -5.220 4.393 1.389
F -4.550 1.397 5.390
F -4.078 3.895 3.888

Most stable to least stable, the ends of the list are #i and #ii.

#i
43
Lattice="6.222 0.020 -1.901 -2.472 8.571 0.199 0.091 0.394 9.040" Properties=species:S:1:pos:R:3 comment="MgCo6Ag2P6H4O24, optimized geometry, DFT PBE with a Hubbard U" magnetic_moment_mub_per_fu=16.0 pbc="T T T"
Mg 5.125 0.759 4.508
Co -0.307 6.705 1.577
Co 2.565 5.034 6.833
Co -1.506 7.457 4.530
Co 1.337 3.988 0.608
Co 5.251 1.025 1.884
Co 3.943 3.014 6.110
Ag 0.391 3.905 4.518
Ag 3.678 4.376 3.226
P 0.987 2.157 7.270
P 2.635 7.098 0.213
P 2.142 1.457 2.788
P -0.630 5.837 7.476
P 1.685 6.962 4.305
P 4.633 3.571 -0.032
H 1.747 1.073 0.663
H -0.983 8.040 7.908
H 2.198 7.549 6.988
H 4.764 1.353 -0.582
O 0.712 5.132 7.740
O -0.618 7.176 8.381
O 1.613 7.876 5.577
O 4.778 2.295 -1.007
O 1.769 2.902 2.381
O -0.842 6.182 5.996
O 2.096 5.518 4.695
O 4.837 3.061 1.415
O 1.128 0.880 3.813
O 2.075 0.517 1.482
O 2.778 7.092 7.697
O 2.231 8.573 0.315
O 1.267 2.072 -0.315
O 0.920 0.621 7.009
O 1.635 6.190 0.975
O 4.085 6.832 0.702
O 1.959 2.892 6.284
O 2.802 7.677 3.432
O 4.439 4.990 6.090
O 3.578 1.416 3.347
O -0.489 4.553 1.459
O 0.342 6.978 3.541
O 3.225 4.135 -0.238
O -0.494 2.582 6.903

#ii
43
Lattice="6.244 -0.150 -1.837 -2.695 8.679 0.239 0.155 0.457 8.919" Properties=species:S:1:pos:R:3 comment="MgCo6Ag2P6H4O24, optimized geometry, DFT PBE with a Hubbard U" magnetic_moment_mub_per_fu=16.0 pbc="T T T"
Mg 6.221 0.455 3.884
Co -0.401 6.556 1.605
Co 2.510 5.135 6.799
Co -1.612 6.881 4.334
Co 1.282 4.016 0.673
Co 4.429 0.772 1.831
Co 4.154 2.669 5.610
Ag -0.012 4.124 4.470
Ag 3.498 4.471 3.005
P 1.278 2.180 7.321
P 2.523 7.039 0.091
P 2.016 1.739 3.174
P -0.695 5.875 7.429
P 1.645 7.021 4.253
P 4.510 3.333 -0.110
H 1.824 1.255 1.017
H -0.927 8.029 8.046
H 2.066 7.771 6.358
H 4.749 1.173 -0.748
O 0.618 5.114 7.661
O -0.773 7.104 8.491
O 1.799 8.138 5.393
O 4.596 2.111 -1.172
O 1.572 3.135 2.649
O -0.784 6.569 6.080
O 1.864 5.626 4.860
O 4.678 2.724 1.285
O 0.963 1.079 4.058
O 2.235 0.818 1.860
O 2.623 7.117 7.501
O 2.133 8.521 0.266
O 1.226 2.084 -0.111
O 1.506 0.662 7.074
O 1.562 6.137 0.943
O 4.000 6.795 0.596
O 2.244 3.015 6.416
O 2.770 7.485 3.273
O 4.366 4.761 5.877
O 3.430 1.822 3.830
O -0.592 4.474 1.402
O 0.303 7.107 3.498
O 3.160 4.044 -0.286
O -0.201 2.377 6.753

Most stable to least stable, the ends of the list are #ii and #i.

#i
52
Lattice="6.479 0.000 0.000 0.000 9.567 0.000 0.000 4.361 8.822" Properties=species:S:1:pos:R:3 comment="Li3MnPCO7, optimized geometry, DFT PBE with a Hubbard U" magnetic_moment_mub_per_fu=5.0 pbc="T T T"
Li 1.615 3.435 4.961
Li 1.625 1.255 0.550
Li 3.160 5.965 6.528
Li 0.079 3.785 2.117
Li 4.831 7.449 8.240
Li 4.887 5.268 3.829
Li 1.592 8.660 4.993
Li 1.648 6.479 0.582
Li 6.399 10.143 6.705
Li 3.319 7.963 2.294
Li 4.854 12.674 8.273
Li 4.864 10.493 3.861
Mn 0.012 5.780 6.491
Mn 3.227 3.599 2.080
Mn 3.251 10.329 6.742
Mn 6.467 8.148 2.331
P 1.605 7.982 8.261
P 1.634 5.801 3.850
P 4.845 8.127 4.972
P 4.873 5.946 0.561
C 4.873 3.131 5.529
C 4.844 0.951 1.118
C 1.634 12.977 7.704
C 1.605 10.797 3.293
O 4.924 4.973 8.713
O 4.794 2.793 4.302
O 1.622 4.334 6.752
O 4.956 4.376 5.894
O 1.617 2.153 2.341
O 4.762 2.196 1.483
O 0.366 7.035 8.224
O 2.832 7.036 8.240
O 0.407 4.856 3.829
O 2.873 4.855 3.813
O 4.823 7.113 6.148
O 1.618 6.610 5.191
O 4.895 4.932 1.737
O 1.621 4.429 0.780
O 4.857 9.499 8.042
O 1.583 8.996 7.085
O 4.861 7.319 3.631
O 1.656 6.815 2.674
O 6.072 9.073 4.993
O 3.605 9.073 5.009
O 6.113 6.893 0.598
O 3.646 6.892 0.582
O 1.716 11.732 7.339
O 4.861 11.775 6.481
O 1.523 9.552 2.928
O 4.857 9.594 2.070
O 1.685 11.135 4.520
O 1.555 8.955 0.109

#ii
52
Lattice="0.000 0.000 6.628 8.630 5.235 0.000 -8.371 5.012 0.000" Properties=species:S:1:pos:R:3 comment="Li3MnPCO7, optimized geometry, DFT PBE with a Hubbard U" magnetic_moment_mub_per_fu=0.0 pbc="T T T"
Li -0.002 0.207 3.466
Li 0.127 5.331 3.466
Li 0.261 10.040 0.152
Li 0.132 4.916 0.152
Li 1.577 2.235 1.314
Li 1.706 7.358 1.314
Li -1.317 8.013 4.628
Li -1.447 2.889 4.628
Li -3.882 7.332 2.558
Li 4.618 7.443 2.559
Li 4.141 2.915 5.873
Li -4.359 2.804 5.874
Mn 2.546 5.360 4.972
Mn -2.287 4.887 1.658
Mn -5.955 5.246 4.974
Mn 6.215 5.001 1.660
P 2.917 4.915 1.664
P -5.584 4.803 1.664
P -2.657 5.332 4.978
P 5.843 5.444 4.978
C 1.162 2.747 4.906
C 1.291 7.871 4.906
C -0.903 7.500 1.592
C -1.032 2.376 1.592
O 0.258 1.847 4.690
O 0.388 6.970 4.690
O 0.001 8.400 1.376
O -0.129 3.276 1.376
O 0.805 3.987 5.072
O 0.934 9.111 5.072
O -0.546 6.260 1.757
O -0.674 1.136 1.758
O -6.383 5.443 0.477
O 2.117 5.555 0.477
O 6.643 4.804 3.791
O -1.858 4.692 3.791
O 2.059 5.170 2.925
O -6.441 5.057 2.925
O -1.800 5.077 6.239
O 6.700 5.190 6.239
O 2.420 2.418 4.975
O 2.550 7.542 4.975
O -2.161 7.829 1.661
O -2.291 2.705 1.661
O 3.177 3.404 1.405
O -5.323 3.292 1.405
O -2.918 6.843 4.720
O 5.582 6.955 4.719
O -4.232 5.555 1.838
O 4.268 5.667 1.838
O 4.491 4.692 5.153
O -4.009 4.580 5.153

Most stable to least stable, the ends of the list are #ii and #i.